[1]
{
  "formula": "Li32Ti13Cr3O48",
  "functional": "GGA+U",
  "state": "optimized geometry",
  "magmom_total_mub_per_fu": 6.00,
  "e_form_ev_per_atom": -2.839,
  "lattice_angstrom": [[1.497, -3.608, 3.264], [7.865, -0.395, -4.033], [3.772, 14.904, 12.234]],
  "species": ["O", "O", "O", "O", "O", "O", "O", "O", "O", "O", "O", "O", "O", "O", "O", "O", "O", "O", "O", "O", "O", "O", "O", "O", "O", "O", "O", "O", "O", "O", "O", "O", "O", "O", "O", "O", "O", "O", "O", "O", "O", "O", "O", "O", "O", "O", "O", "O", "Li", "Li", "Li", "Li", "Li", "Li", "Li", "Li", "Li", "Li", "Li", "Li", "Li", "Li", "Li", "Li", "Li", "Li", "Li", "Li", "Li", "Li", "Li", "Li", "Li", "Li", "Li", "Li", "Li", "Li", "Li", "Li", "Ti", "Ti", "Ti", "Ti", "Ti", "Ti", "Ti", "Ti", "Ti", "Ti", "Ti", "Ti", "Ti", "Cr", "Cr", "Cr"],
  "frac_coords": [[0.709, 0.858, 0.818], [0.926, 0.428, 0.567], [0.929, 0.785, 0.068], [0.035, 0.887, 0.930], [0.682, 0.538, 0.819], [0.072, 0.214, 0.932], [0.963, 0.106, 0.068], [0.821, 0.966, 0.682], [0.572, 0.073, 0.433], [0.290, 0.143, 0.682], [0.429, 0.284, 0.068], [0.928, 0.786, 0.569], [0.075, 0.571, 0.933], [0.463, 0.606, 0.068], [0.821, 0.965, 0.182], [0.964, 0.111, 0.569], [0.785, 0.643, 0.682], [0.287, 0.144, 0.182], [0.928, 0.427, 0.067], [0.174, 0.680, 0.319], [0.788, 0.644, 0.181], [0.321, 0.466, 0.182], [0.169, 0.679, 0.818], [0.040, 0.896, 0.432], [0.423, 0.283, 0.570], [0.464, 0.606, 0.568], [0.675, 0.533, 0.318], [0.215, 0.357, 0.818], [0.716, 0.851, 0.319], [0.179, 0.034, 0.818], [0.576, 0.717, 0.930], [0.213, 0.357, 0.318], [0.830, 0.320, 0.682], [0.428, 0.927, 0.567], [0.677, 0.176, 0.317], [0.322, 0.822, 0.183], [0.534, 0.394, 0.432], [0.319, 0.463, 0.681], [0.572, 0.073, 0.933], [0.822, 0.322, 0.183], [0.679, 0.177, 0.817], [0.322, 0.823, 0.683], [0.178, 0.034, 0.318], [0.069, 0.575, 0.432], [0.537, 0.394, 0.932], [0.428, 0.927, 0.067], [0.581, 0.717, 0.431], [0.070, 0.215, 0.432], [0.761, 0.580, 0.499], [0.874, 0.376, 0.375], [0.377, 0.874, 0.875], [0.246, 0.750, 0.000], [0.997, 0.501, 0.250], [0.494, 0.672, 0.751], [0.499, 0.001, 0.250], [0.741, 0.919, 0.000], [0.740, 0.919, 0.500], [0.625, 0.125, 0.125], [0.374, 0.875, 0.375], [0.624, 0.126, 0.625], [0.991, 0.170, 0.749], [0.493, 0.670, 0.250], [0.261, 0.081, 0.501], [0.245, 0.751, 0.500], [0.009, 0.830, 0.750], [0.261, 0.080, 0.000], [0.010, 0.830, 0.250], [0.511, 0.330, 0.250], [0.506, 0.328, 0.750], [0.500, 0.000, 0.750], [0.125, 0.624, 0.625], [0.875, 0.376, 0.875], [0.125, 0.625, 0.125], [0.989, 0.169, 0.250], [0.240, 0.420, 0.000], [0.761, 0.580, 0.999], [0.754, 0.250, 0.500], [0.999, 0.500, 0.750], [0.751, 0.250, 0.000], [0.240, 0.419, 0.501], [0.123, 0.959, 0.125], [0.624, 0.459, 0.125], [0.127, 0.291, 0.125], [0.624, 0.459, 0.624], [0.871, 0.039, 0.873], [0.883, 0.041, 0.377], [0.373, 0.540, 0.373], [0.377, 0.541, 0.876], [0.379, 0.209, 0.375], [0.370, 0.209, 0.875], [0.626, 0.791, 0.125], [0.127, 0.961, 0.626], [0.627, 0.791, 0.624], [0.123, 0.291, 0.625], [0.869, 0.710, 0.375], [0.878, 0.709, 0.875]]
}



[2]
{
  "formula": "Li24TiCr11O36",
  "functional": "GGA+U",
  "state": "optimized geometry",
  "magmom_total_mub_per_fu": 22.00,
  "e_form_ev_per_atom": -2.294,
  "polymorph_energy_ev_per_atom": 0.0033,
  "lattice_angstrom": [[-2.979, -6.833, 4.579], [4.549, -7.469, 0.226], [5.442, -3.153, 9.873]],
  "species": ["Li", "Li", "Li", "Li", "Li", "Li", "Li", "Li", "Li", "Li", "Li", "Li", "Li", "Li", "Li", "Li", "Li", "Li", "Li", "Li", "Li", "Li", "Li", "Li", "O", "O", "O", "O", "O", "O", "O", "O", "O", "O", "O", "O", "O", "O", "O", "O", "O", "O", "O", "O", "O", "O", "O", "O", "O", "O", "O", "O", "O", "O", "O", "O", "O", "O", "O", "O", "Cr", "Cr", "Cr", "Cr", "Cr", "Cr", "Cr", "Cr", "Cr", "Cr", "Cr", "Ti"],
  "frac_coords": [[0.169, 0.831, 0.752], [0.834, 0.499, 0.500], [0.157, 0.505, 0.251], [0.835, 0.498, 0.749], [0.496, 0.837, 0.250], [0.498, 0.170, 0.998], [0.174, 0.160, 0.749], [0.832, 0.501, 0.251], [0.836, 0.826, 0.751], [0.509, 0.497, 0.249], [0.499, 0.168, 0.749], [0.827, 0.175, 0.750], [0.163, 0.504, 0.750], [0.166, 0.834, 0.000], [0.167, 0.833, 0.500], [0.174, 0.164, 0.249], [0.825, 0.173, 0.250], [0.503, 0.491, 0.751], [0.502, 0.165, 0.251], [0.830, 0.502, 0.002], [0.495, 0.843, 0.749], [0.169, 0.831, 0.248], [0.501, 0.166, 0.500], [0.840, 0.826, 0.251], [0.358, 0.660, 0.612], [0.332, 0.996, 0.112], [0.977, 0.007, 0.888], [0.354, 0.667, 0.113], [0.993, 0.023, 0.112], [0.333, 0.008, 0.884], [0.665, 0.683, 0.116], [0.325, 0.358, 0.612], [0.009, 0.667, 0.386], [0.005, 0.314, 0.886], [0.334, 0.006, 0.386], [0.669, 0.337, 0.386], [0.340, 0.642, 0.388], [0.328, 0.355, 0.113], [0.333, 0.991, 0.614], [0.004, 0.668, 0.888], [0.645, 0.672, 0.887], [0.023, 0.329, 0.612], [0.671, 0.972, 0.890], [0.686, 0.995, 0.114], [0.687, 0.004, 0.612], [0.996, 0.313, 0.388], [0.992, 0.667, 0.116], [0.665, 0.327, 0.115], [0.976, 0.001, 0.387], [0.663, 0.331, 0.614], [0.028, 0.329, 0.110], [0.671, 0.977, 0.388], [0.667, 0.692, 0.612], [0.333, 0.646, 0.887], [0.999, 0.024, 0.613], [0.994, 0.666, 0.614], [0.642, 0.675, 0.388], [0.673, 0.335, 0.885], [0.308, 0.333, 0.388], [0.317, 0.335, 0.884], [0.509, 0.831, 0.500], [0.165, 0.501, 0.998], [0.499, 0.835, 0.002], [0.827, 0.835, 0.006], [0.167, 0.159, 0.500], [0.165, 0.173, 0.994], [0.841, 0.833, 0.500], [0.830, 0.170, 0.500], [0.169, 0.491, 0.500], [0.495, 0.505, 0.500], [0.838, 0.162, 0.000], [0.499, 0.501, 0.000]]
}